1.
TiS4N5Cl5: relaxed, PBE. Values from VASP.

Computed properties:
As for the space group: P2_1/c. The value obtained for the spin magnetization is 0.0 μB per formula unit. The value obtained for the calculated formation energy is -0.340 eV/atom.

Structure (Quantum ESPRESSO input):
```
&SYSTEM
  ibrav = 0, nat = 60, ntyp = 4
/
ATOMIC_SPECIES
S 32.06 S.upf
Cl 35.45 Cl.upf
N 14.01 N.upf
Ti 47.87 Ti.upf
CELL_PARAMETERS angstrom
-12.0627 -5.5101 -10.5769
-2.1759 -4.5449 4.8492
-7.6055 6.6123 5.2291
ATOMIC_POSITIONS crystal
S 0.7353 0.3687 0.9336
Cl 0.6491 0.4979 0.6409
S 0.7288 0.9757 0.5232
S 0.8477 0.1632 0.6285
Cl 0.8875 0.7166 0.8292
Cl 0.4941 0.4960 0.1648
Cl 0.5629 0.0765 0.7265
Cl 0.1125 0.2834 0.1708
N 0.2984 0.1586 0.0350
N 0.8321 0.3651 0.5284
N 0.2343 0.9577 0.3573
Cl 0.6125 0.7166 0.3292
S 0.2712 0.0243 0.4768
Ti 0.9819 0.3816 0.1614
Cl 0.0629 0.9235 0.7735
Cl 0.8509 0.4979 0.1409
Cl 0.1491 0.5021 0.8591
N 0.2758 0.8265 0.5839
S 0.2288 0.0243 0.9768
Cl 0.4756 0.6946 0.5456
Cl 0.5059 0.5040 0.8352
Ti 0.0181 0.6184 0.8386
Cl 0.0244 0.6946 0.0456
S 0.1523 0.8368 0.3715
S 0.2353 0.6313 0.5664
N 0.3321 0.6349 0.9716
N 0.7984 0.8414 0.4650
S 0.8883 0.8743 0.4870
Cl 0.0059 0.4960 0.6648
N 0.7242 0.1735 0.4161
Cl 0.9941 0.5040 0.3352
N 0.9137 0.0461 0.5525
N 0.7657 0.0423 0.6427
S 0.3477 0.8368 0.8715
N 0.2242 0.8265 0.0839
N 0.0863 0.9539 0.4475
N 0.1679 0.6349 0.4716
S 0.3883 0.1257 0.0130
N 0.7758 0.1735 0.9161
Cl 0.3875 0.2834 0.6708
Cl 0.5244 0.3054 0.4544
Cl 0.9371 0.0765 0.2265
S 0.6117 0.8743 0.9870
N 0.7343 0.0423 0.1427
S 0.6523 0.1632 0.1285
S 0.1117 0.1257 0.5130
Ti 0.5181 0.3816 0.6614
N 0.6679 0.3651 0.0284
Cl 0.3509 0.5021 0.3591
N 0.4137 0.9539 0.9475
N 0.2016 0.1586 0.5350
S 0.7647 0.3687 0.4336
N 0.5863 0.0461 0.0525
N 0.7016 0.8414 0.9650
S 0.7712 0.9757 0.0232
Cl 0.4371 0.9235 0.2735
N 0.2657 0.9577 0.8573
Ti 0.4819 0.6184 0.3386
Cl 0.9756 0.3054 0.9544
S 0.2647 0.6313 0.0664
```



2.
TaN: relaxed, PBE. Values from VASP.

Computed properties:
As for the space group: P-62m. The value obtained for the calculated formation energy is -1.353 eV/atom.

Structure (Quantum ESPRESSO input):
```
&SYSTEM
  ibrav = 0, nat = 6, ntyp = 2
/
ATOMIC_SPECIES
N 14.01 N.upf
Ta 180.95 Ta.upf
CELL_PARAMETERS angstrom
2.6167 -4.5323 0.0000
2.6167 4.5323 0.0000
0.0000 0.0000 2.9255
ATOMIC_POSITIONS crystal
N 0.3926 0.0000 0.0000
Ta 0.6667 0.3333 0.5000
N 0.6074 0.6074 0.0000
N 0.0000 0.3926 0.0000
Ta 0.3333 0.6667 0.5000
Ta 0.0000 0.0000 0.0000
```



3.
LiLaBi2: relaxed, PBE. Values from VASP.

Computed properties:
As for the space group: P4/nmm. The value obtained for the calculated formation energy is -0.749 eV/atom.

Structure (Quantum ESPRESSO input):
```
&SYSTEM
  ibrav = 0, nat = 8, ntyp = 3
/
ATOMIC_SPECIES
La 138.91 La.upf
Bi 208.98 Bi.upf
Li 6.94 Li.upf
CELL_PARAMETERS angstrom
4.5580 0.0000 0.0000
0.0000 4.5580 0.0000
0.0000 0.0000 11.0820
ATOMIC_POSITIONS crystal
La 0.0000 0.5000 0.2592
Bi 0.5000 0.5000 0.5000
La 0.5000 0.0000 0.7408
Li 0.0000 0.0000 0.0000
Bi 0.5000 0.0000 0.1622
Bi 0.0000 0.5000 0.8378
Bi 0.0000 0.0000 0.5000
Li 0.5000 0.5000 0.0000
```



4.
NaHf4N4Cl4: relaxed, PBE. Values from VASP.

Computed properties:
As for the space group: P2/m. The value obtained for the spin magnetization is 0.0 μB per formula unit. The value obtained for the calculated formation energy is -1.948 eV/atom.

Structure (Quantum ESPRESSO input):
```
&SYSTEM
  ibrav = 0, nat = 13, ntyp = 4
/
ATOMIC_SPECIES
Hf 178.49 Hf.upf
N 14.01 N.upf
Cl 35.45 Cl.upf
Na 22.99 Na.upf
CELL_PARAMETERS angstrom
3.6460 0.0000 0.0000
0.0000 6.3074 0.0000
0.0000 2.1290 10.0304
ATOMIC_POSITIONS crystal
Hf 0.5000 0.7056 0.3763
Hf 0.0000 0.7906 0.6194
N 0.0000 0.8667 0.4076
Hf 0.0000 0.2094 0.3806
Cl 0.0000 0.6046 0.1837
Na 0.0000 0.0000 0.0000
Cl 0.5000 0.8899 0.8232
Cl 0.0000 0.3954 0.8163
N 0.5000 0.3608 0.4107
N 0.5000 0.6392 0.5893
N 0.0000 0.1333 0.5924
Cl 0.5000 0.1101 0.1768
Hf 0.5000 0.2944 0.6237
```



5.
ReRh3: relaxed, PBE. Values from VASP.

Computed properties:
As for the space group: P6_3/mmc. The value obtained for the calculated formation energy is -0.073 eV/atom.

Structure (Quantum ESPRESSO input):
```
&SYSTEM
  ibrav = 0, nat = 8, ntyp = 2
/
ATOMIC_SPECIES
Rh 102.91 Rh.upf
Re 186.21 Re.upf
CELL_PARAMETERS angstrom
2.7560 -4.7735 0.0000
2.7560 4.7735 0.0000
0.0000 0.0000 4.3663
ATOMIC_POSITIONS crystal
Rh 0.1690 0.8310 0.2500
Re 0.6667 0.3333 0.2500
Rh 0.6621 0.8310 0.2500
Re 0.3333 0.6667 0.7500
Rh 0.1690 0.3379 0.2500
Rh 0.3379 0.1690 0.7500
Rh 0.8310 0.1690 0.7500
Rh 0.8310 0.6621 0.7500
```



6.
LaAg: relaxed, PBE. Values from VASP.

Computed properties:
As for the space group: Pm-3m. The value obtained for the calculated formation energy is -0.254 eV/atom.

Structure (Quantum ESPRESSO input):
```
&SYSTEM
  ibrav = 0, nat = 2, ntyp = 2
/
ATOMIC_SPECIES
Ag 107.87 Ag.upf
La 138.91 La.upf
CELL_PARAMETERS angstrom
3.8428 0.0000 0.0000
0.0000 3.8428 0.0000
0.0000 0.0000 3.8428
ATOMIC_POSITIONS crystal
Ag 0.5000 0.5000 0.5000
La 0.0000 0.0000 0.0000
```



7.
Mg6MnSi: relaxed, PBE. Values from VASP.

Computed properties:
As for the distance to the lowest polymorph of the same formula: 0.000 eV per atom. The value obtained for the spin magnetization is 3.3 μB per formula unit. The value obtained for the calculated formation energy is 0.124 eV/atom.

Structure (Quantum ESPRESSO input):
```
&SYSTEM
  ibrav = 0, nat = 16, ntyp = 3
/
ATOMIC_SPECIES
Mg 24.30 Mg.upf
Si 28.09 Si.upf
Mn 54.94 Mn.upf
CELL_PARAMETERS angstrom
-3.2269 -1.9189 2.9725
4.5726 -2.3349 3.4567
0.1101 8.8575 5.8374
ATOMIC_POSITIONS crystal
Mg 0.5000 0.5000 0.6667
Mg 0.5000 0.7587 0.9112
Si 0.5000 0.5000 0.1812
Mg 0.0000 0.2447 0.5864
Mg 0.0000 0.5000 0.8342
Mg 0.5000 0.2413 0.9112
Mg 0.0000 0.2553 0.0864
Mg 0.0000 0.0000 0.3342
Si 0.5000 0.0000 0.6812
Mg 0.5000 0.7413 0.4112
Mg 0.5000 0.0000 0.1667
Mn 0.0000 0.5000 0.3226
Mg 0.0000 0.7553 0.5864
Mn 0.0000 0.0000 0.8226
Mg 0.5000 0.2587 0.4112
Mg 0.0000 0.7447 0.0864
```



8.
SmGa4Co: relaxed, PBE. Values from VASP.

Computed properties:
As for the space group: Cmcm. The value obtained for the calculated formation energy is -0.505 eV/atom.

Structure (Quantum ESPRESSO input):
```
&SYSTEM
  ibrav = 0, nat = 12, ntyp = 3
/
ATOMIC_SPECIES
Ga 69.72 Ga.upf
Sm 150.36 Sm.upf
Co 58.93 Co.upf
CELL_PARAMETERS angstrom
2.0646 -7.8550 0.0000
2.0646 7.8550 0.0000
0.0000 0.0000 6.5177
ATOMIC_POSITIONS crystal
Ga 0.6899 0.3101 0.5515
Sm 0.8826 0.1174 0.7500
Ga 0.3101 0.6899 0.4485
Ga 0.5000 0.5000 0.0000
Ga 0.6899 0.3101 0.9485
Co 0.7772 0.2228 0.2500
Ga 0.0750 0.9250 0.7500
Ga 0.3101 0.6899 0.0515
Sm 0.1174 0.8826 0.2500
Co 0.2228 0.7772 0.7500
Ga 0.5000 0.5000 0.5000
Ga 0.9250 0.0750 0.2500
```